# 1
Material: Sr2ZrMnO6
Method: DFT, PBE with a Hubbard U
State: relaxed

Computed properties:
Energy relative to the elements: -30.76 eV per formula unit
Total moment: 0.0 Bohr magnetons per cell

abc: 5.6756 5.6756 9.8303
angles: 73.22 90.00 120.00
Closest atoms and distances in Å follow each position.
Fractional coordinates of all 20 atoms:
Sr  0.1250  0.2500  0.6250  12 O 2.84
Sr  0.6250  0.2500  0.1250  12 O 2.84
Sr  0.8750  0.7500  0.3750  12 O 2.84
Sr  0.3750  0.7500  0.8750  12 O 2.84
O  0.1301  0.7398  0.1301  1 Mn 1.92, 1 Zr 2.09
O  0.3699  0.2602  0.3699  1 Mn 1.92, 1 Zr 2.09
O  0.8699  0.2602  0.8699  1 Mn 1.92, 1 Zr 2.09
O  0.6097  0.7398  0.1301  1 Mn 1.92, 1 Zr 2.09
O  0.8699  0.7398  0.8699  1 Mn 1.92, 1 Zr 2.09
O  0.1301  0.2602  0.1301  1 Mn 1.92, 1 Zr 2.09
O  0.6301  0.7398  0.6301  1 Mn 1.92, 1 Zr 2.09
O  0.3903  0.2602  0.8699  1 Mn 1.92, 1 Zr 2.09
O  0.3699  0.7398  0.3699  1 Mn 1.92, 1 Zr 2.09
O  0.6301  0.2602  0.6301  1 Mn 1.92, 1 Zr 2.09
O  0.1097  0.7398  0.6301  1 Mn 1.92, 1 Zr 2.09
O  0.8903  0.2602  0.3699  1 Mn 1.92, 1 Zr 2.09
Zr  0.0000  0.0000  0.0000  6 O 2.09
Zr  0.5000  0.0000  0.5000  6 O 2.09
Mn  0.7500  0.5000  0.7500  6 O 1.92
Mn  0.2500  0.5000  0.2500  6 O 1.92

# 2
Material: UMo2O8
Method: DFT, PBE with a Hubbard U
State: relaxed

Computed properties:
Energy relative to the elements: -27.63 eV per formula unit
SG: Pban
Total moment: 8.0 Bohr magnetons per cell

abc: 7.4552 20.3696 4.1428
angles: 90.00 90.00 90.00
Closest atoms and distances in Å follow each position.
Fractional coordinates of all 44 atoms:
U  0.2500  0.0126  0.0000  4 O 2.07-2.18
U  0.2500  0.4874  0.0000  4 O 2.07-2.18
U  0.7500  0.5126  0.0000  4 O 2.07-2.18
U  0.7500  0.9874  0.0000  4 O 2.07-2.18
Mo  0.0014  0.6605  0.0879  3 O 1.74-1.92
Mo  0.0014  0.8395  0.9121  3 O 1.74-1.92
Mo  0.4986  0.6605  0.9121  3 O 1.74-1.92
Mo  0.4986  0.8395  0.0879  3 O 1.74-1.92
Mo  0.5014  0.1605  0.9121  3 O 1.74-1.92
Mo  0.5014  0.3395  0.0879  3 O 1.74-1.92
Mo  0.9986  0.1605  0.0879  3 O 1.74-1.92
Mo  0.9986  0.3395  0.9121  3 O 1.74-1.92
O  0.9996  0.1591  0.5076  1 Mo 1.74
O  0.9996  0.3409  0.4924  1 Mo 1.74
O  0.0004  0.6591  0.5076  1 Mo 1.74
O  0.0004  0.8409  0.4924  1 Mo 1.74
O  0.0400  0.5616  0.0083  1 Mo 2.06, 1 U 2.18
O  0.0400  0.9384  0.9917  1 Mo 2.06, 1 U 2.18
O  0.0637  0.2500  0.0000  2 Mo 1.92
O  0.2500  0.0143  0.5000  2 U 2.07
O  0.2500  0.1289  0.0000  2 Mo 2.01
O  0.2500  0.3711  0.0000  2 Mo 2.01
O  0.2500  0.4857  0.5000  2 U 2.07
O  0.2500  0.6742  0.0000  2 Mo 1.91
O  0.2500  0.8258  0.0000  2 Mo 1.91
O  0.4363  0.2500  0.0000  2 Mo 1.92
O  0.4600  0.5616  0.9917  1 Mo 2.06, 1 U 2.18
O  0.4600  0.9384  0.0083  1 Mo 2.06, 1 U 2.18
O  0.5004  0.1591  0.4924  1 Mo 1.74
O  0.5004  0.3409  0.5076  1 Mo 1.74
O  0.4996  0.6591  0.4924  1 Mo 1.74
O  0.4996  0.8409  0.5076  1 Mo 1.74
O  0.5400  0.0616  0.9917  1 Mo 2.06, 1 U 2.18
O  0.5400  0.4384  0.0083  1 Mo 2.06, 1 U 2.18
O  0.5637  0.7500  0.0000  2 Mo 1.92
O  0.7500  0.1742  0.0000  2 Mo 1.91
O  0.7500  0.3258  0.0000  2 Mo 1.91
O  0.7500  0.5143  0.5000  2 U 2.07
O  0.7500  0.6289  0.0000  2 Mo 2.01
O  0.7500  0.8711  0.0000  2 Mo 2.01
O  0.7500  0.9857  0.5000  2 U 2.07
O  0.9363  0.7500  0.0000  2 Mo 1.92
O  0.9600  0.0616  0.0083  1 Mo 2.06, 1 U 2.18
O  0.9600  0.4384  0.9917  1 Mo 2.06, 1 U 2.18

# 3
Material: NaCo11O17
Method: DFT, PBE with a Hubbard U
State: relaxed

Computed properties:
Energy relative to the elements: -37.22 eV per formula unit
SG: P6_3/mmc
Total moment: 32.0 Bohr magnetons per cell

abc: 5.7175 5.7175 23.0050
angles: 90.00 90.00 120.00
Closest atoms and distances in Å follow each position.
Fractional coordinates of all 58 atoms:
Na  0.3333  0.6667  0.2500  6 O 2.85
Na  0.6667  0.3333  0.7500  6 O 2.85
Co  0.0000  0.0000  0.0000  6 O 1.92
Co  0.0000  0.0000  0.5000  6 O 1.92
Co  0.1645  0.3290  0.1028  6 O 1.89-1.95
Co  0.1645  0.3290  0.3972  6 O 1.89-1.95
Co  0.1645  0.8355  0.1028  6 O 1.89-1.95
Co  0.1645  0.8355  0.3972  6 O 1.89-1.95
Co  0.3290  0.1645  0.6028  6 O 1.89-1.95
Co  0.3290  0.1645  0.8972  6 O 1.89-1.95
Co  0.3333  0.6667  0.5243  4 O 1.93-1.95
Co  0.3333  0.6667  0.6721  4 O 1.79-1.82
Co  0.3333  0.6667  0.8279  4 O 1.79-1.82
Co  0.3333  0.6667  0.9757  4 O 1.93-1.95
Co  0.6667  0.3333  0.0243  4 O 1.93-1.95
Co  0.6667  0.3333  0.1721  4 O 1.79-1.82
Co  0.6667  0.3333  0.3279  4 O 1.79-1.82
Co  0.6667  0.3333  0.4757  4 O 1.93-1.95
Co  0.6710  0.8355  0.1028  6 O 1.89-1.95
Co  0.6710  0.8355  0.3972  6 O 1.89-1.95
Co  0.8355  0.1645  0.6028  6 O 1.89-1.95
Co  0.8355  0.1645  0.8972  6 O 1.89-1.95
Co  0.8355  0.6710  0.6028  6 O 1.89-1.95
Co  0.8355  0.6710  0.8972  6 O 1.89-1.95
O  0.0000  0.0000  0.1446  3 Co 1.89
O  0.0000  0.0000  0.3554  3 Co 1.89
O  0.0000  0.0000  0.6446  3 Co 1.89
O  0.0000  0.0000  0.8554  3 Co 1.89
O  0.0150  0.5075  0.1467  3 Co 1.82-1.91
O  0.0150  0.5075  0.3533  3 Co 1.82-1.91
O  0.1483  0.2965  0.5537  4 Co 1.92-1.95
O  0.1483  0.2965  0.9463  4 Co 1.92-1.95
O  0.1483  0.8517  0.5537  4 Co 1.92-1.95
O  0.1483  0.8517  0.9463  4 Co 1.92-1.95
O  0.2965  0.1483  0.0537  4 Co 1.92-1.95
O  0.2965  0.1483  0.4463  4 Co 1.92-1.95
O  0.3333  0.6667  0.0596  4 Co 1.93-1.95
O  0.3333  0.6667  0.4404  4 Co 1.93-1.95
O  0.3333  0.6667  0.7500  2 Co 1.79
O  0.4925  0.5075  0.1467  3 Co 1.82-1.91
O  0.4925  0.5075  0.3533  3 Co 1.82-1.91
O  0.4925  0.9850  0.1467  3 Co 1.82-1.91
O  0.4925  0.9850  0.3533  3 Co 1.82-1.91
O  0.5075  0.0150  0.6467  3 Co 1.82-1.91
O  0.5075  0.0150  0.8533  3 Co 1.82-1.91
O  0.5075  0.4925  0.6467  3 Co 1.82-1.91
O  0.5075  0.4925  0.8533  3 Co 1.82-1.91
O  0.6667  0.3333  0.2500  2 Co 1.79
O  0.6667  0.3333  0.5596  4 Co 1.93-1.95
O  0.6667  0.3333  0.9404  4 Co 1.93-1.95
O  0.7035  0.8517  0.5537  4 Co 1.92-1.95
O  0.7035  0.8517  0.9463  4 Co 1.92-1.95
O  0.8517  0.1483  0.0537  4 Co 1.92-1.95
O  0.8517  0.1483  0.4463  4 Co 1.92-1.95
O  0.8517  0.7035  0.0537  4 Co 1.92-1.95
O  0.8517  0.7035  0.4463  4 Co 1.92-1.95
O  0.9850  0.4925  0.6467  3 Co 1.82-1.91
O  0.9850  0.4925  0.8533  3 Co 1.82-1.91

# 4
Material: VGe2O6
Method: DFT, PBE with a Hubbard U
State: relaxed

Computed properties:
Energy relative to the lowest polymorph listed for this composition: 0.07 eV/f.u.
Energy relative to the elements: -19.41 eV per formula unit
SG: P-1
Total moment: 2.0 Bohr magnetons per cell

abc: 5.5976 6.6646 6.7781
angles: 83.34 75.01 75.27
Closest atoms and distances in Å follow each position.
Fractional coordinates of all 18 atoms:
V  0.2466  0.4049  0.0990  5 O 1.83-2.04
V  0.7534  0.5951  0.9010  5 O 1.83-2.04
Ge  0.2371  0.2918  0.6148  4 O 1.75-1.80
Ge  0.2628  0.8814  0.2092  4 O 1.75-1.80
Ge  0.7372  0.1186  0.7908  4 O 1.75-1.80
Ge  0.7629  0.7082  0.3852  4 O 1.75-1.80
O  0.0553  0.1038  0.6625  2 Ge 1.75-1.76
O  0.1171  0.4609  0.8254  1 Ge 1.80, 1 V 1.96
O  0.2520  0.1308  0.0852  1 Ge 1.77, 1 V 1.83
O  0.2562  0.4184  0.3719  1 Ge 1.75, 1 V 1.88
O  0.3752  0.6711  0.0384  1 Ge 1.80
O  0.4478  0.8404  0.3888  2 Ge 1.75
O  0.5522  0.1596  0.6112  2 Ge 1.75
O  0.6248  0.3289  0.9616  1 Ge 1.80
O  0.7438  0.5816  0.6281  1 Ge 1.75, 1 V 1.88
O  0.7480  0.8692  0.9148  1 Ge 1.77, 1 V 1.83
O  0.8829  0.5391  0.1746  1 Ge 1.80, 1 V 1.96
O  0.9447  0.8962  0.3375  2 Ge 1.75-1.76